Entry 1:
{
  "formula": "GaAgO2",
  "functional": "GGA-PBE",
  "state": "optimized geometry",
  "crystal_system": "hexagonal",
  "lattice_angstrom": [[1.5187, -2.6305, 0.0000], [1.5187, 2.6305, 0.0000], [0.0000, 0.0000, 12.5721]],
  "species": ["Ga", "O", "O", "Ag", "Ag", "O", "O", "Ga"],
  "frac_coords": [[0.0000, 0.0000, 0.0000], [0.3333, 0.6667, 0.4195], [0.3333, 0.6667, 0.0805], [0.3333, 0.6667, 0.2500], [0.6667, 0.3333, 0.7500], [0.6667, 0.3333, 0.5805], [0.6667, 0.3333, 0.9195], [0.0000, 0.0000, 0.5000]]
}



Entry 2:
{
  "formula": "GaAgO2",
  "functional": "GGA-PBE",
  "state": "optimized geometry",
  "crystal_system": "trigonal",
  "lattice_angstrom": [[6.3381, -1.5185, 0.0000], [6.3381, 1.5185, 0.0000], [5.9743, 0.0000, 2.6049]],
  "species": ["Ag", "O", "Ga", "O"],
  "frac_coords": [[0.0000, 0.0000, 0.0000], [0.8870, 0.8870, 0.8870], [0.5000, 0.5000, 0.5000], [0.1130, 0.1130, 0.1130]]
}



Entry 3:
{
  "formula": "GaAgO2",
  "functional": "GGA-PBE",
  "state": "optimized geometry",
  "crystal_system": "trigonal",
  "lattice_angstrom": [[-2.9897, 4.5059, -3.4799], [-4.9023, 2.1828, -3.5432], [-4.8654, 4.0376, -1.1732]],
  "species": ["O", "Ag", "O", "Ga"],
  "frac_coords": [[0.2780, 0.2780, 0.2780], [0.1599, 0.1599, 0.1599], [0.7232, 0.7232, 0.7232], [0.9980, 0.9980, 0.9980]]
}



Entry 4:
{
  "formula": "GaAgS2O8",
  "functional": "GGA-PBE",
  "state": "optimized geometry",
  "crystal_system": "monoclinic",
  "lattice_angstrom": [[4.0340, 2.5955, -0.1866], [4.0340, -2.5955, -0.1866], [-0.0115, 0.0000, -7.4567]],
  "species": ["O", "O", "O", "O", "O", "Ag", "O", "S", "Ga", "O", "O", "S"],
  "frac_coords": [[0.7049, 0.7049, 0.3866], [0.2386, 0.7076, 0.8085], [0.7076, 0.2386, 0.8085], [0.2924, 0.7614, 0.1915], [0.2951, 0.2951, 0.6134], [0.0000, 0.0000, 0.5000], [0.2400, 0.2400, 0.9441], [0.3637, 0.3637, 0.7899], [0.0000, 0.0000, 0.0000], [0.7614, 0.2924, 0.1915], [0.7600, 0.7600, 0.0559], [0.6363, 0.6363, 0.2101]]
}



Entry 5:
{
  "formula": "Pm2GaAg",
  "functional": "GGA-PBE",
  "state": "optimized geometry",
  "crystal_system": "cubic",
  "lattice_angstrom": [[0.0000, 3.7174, 3.7174], [3.7174, 0.0000, 3.7174], [3.7174, 3.7174, 0.0000]],
  "species": ["Ag", "Ga", "Pm", "Pm"],
  "frac_coords": [[0.5000, 0.5000, 0.5000], [0.0000, 0.0000, 0.0000], [0.7500, 0.7500, 0.7500], [0.2500, 0.2500, 0.2500]]
}



Entry 6:
{
  "formula": "PmGaAg2",
  "functional": "GGA-PBE",
  "state": "optimized geometry",
  "crystal_system": "cubic",
  "lattice_angstrom": [[3.7002, -3.2434, 0.3444], [-0.5382, -4.0752, 2.7264], [-0.3679, -4.4032, -2.1923]],
  "species": ["Pm", "Ga", "Ag", "Ag"],
  "frac_coords": [[0.0000, 0.0000, 0.0000], [0.5000, 0.5000, 0.5000], [0.2500, 0.2500, 0.2500], [0.7500, 0.7500, 0.7500]]
}



Entry 7:
{
  "formula": "GaAgSeS",
  "functional": "GGA-PBE",
  "state": "optimized geometry",
  "crystal_system": "monoclinic",
  "lattice_angstrom": [[4.1972, 4.1967, 0.0000], [-4.1972, 4.1967, 0.0000], [0.0000, 4.1233, 5.4217]],
  "species": ["Ga", "Ga", "S", "S", "Ag", "Ag", "Se", "Se"],
  "frac_coords": [[0.2525, 0.4870, 0.4997], [0.4870, 0.2525, 0.9997], [0.3739, 0.1615, 0.7504], [0.1615, 0.3739, 0.2504], [0.0161, 0.7517, 0.0004], [0.7517, 0.0161, 0.5004], [0.5925, 0.8748, 0.2495], [0.8748, 0.5925, 0.7495]]
}



Entry 8:
{
  "formula": "Ga2Ag2Se3S",
  "functional": "GGA-PBE",
  "state": "optimized geometry",
  "crystal_system": "monoclinic",
  "lattice_angstrom": [[-0.9055, -4.2804, -5.4005], [3.0777, -6.0987, -1.2808], [-3.3549, -4.8142, 1.1190]],
  "species": ["S", "Se", "Se", "Ga", "Se", "Ag", "Ag", "Ga"],
  "frac_coords": [[0.4092, 0.5908, 0.5000], [0.6246, 0.8746, 0.7212], [0.1254, 0.3754, 0.2788], [0.4968, 0.2596, 0.3805], [0.8429, 0.1571, 0.0000], [0.0140, 0.7434, 0.8629], [0.2566, 0.9860, 0.1371], [0.7404, 0.5032, 0.6195]]
}



Entry 9:
{
  "formula": "GaAgSeS",
  "functional": "GGA-PBE",
  "state": "optimized geometry",
  "crystal_system": "orthorhombic",
  "lattice_angstrom": [[-2.9351, 2.9882, 5.4648], [2.9351, -2.9882, 5.4648], [2.9351, 2.9882, -5.4648]],
  "species": ["Ag", "Ga", "S", "Ga", "S", "Ag", "Se", "Se"],
  "frac_coords": [[0.8661, 0.6161, 0.2500], [0.1315, 0.3815, 0.7500], [0.4600, 0.7500, 0.2100], [0.3685, 0.1185, 0.2500], [0.0400, 0.2500, 0.2900], [0.6339, 0.8839, 0.7500], [0.7500, 0.4698, 0.7198], [0.2500, 0.0302, 0.7802]]
}



Entry 10:
{
  "formula": "Ga2Ag2SeS3",
  "functional": "GGA-PBE",
  "state": "optimized geometry",
  "crystal_system": "monoclinic",
  "lattice_angstrom": [[0.7499, 4.4122, -3.7415], [3.2684, -3.4695, -3.4364], [-2.4366, -1.0024, -6.2178]],
  "species": ["S", "Se", "S", "Ag", "Ga", "Ga", "Ag", "S"],
  "frac_coords": [[0.6273, 0.5866, 0.2493], [0.4061, 0.8750, 0.7500], [0.8407, 0.3750, 0.7500], [0.9844, 0.0049, 0.0090], [0.7587, 0.2603, 0.4940], [0.5027, 0.4897, 0.0060], [0.2434, 0.7451, 0.4910], [0.1266, 0.1634, 0.2507]]
}



Entry 11:
{
  "formula": "Zn3GaAgS5",
  "functional": "GGA-PBE",
  "state": "optimized geometry",
  "crystal_system": "triclinic",
  "lattice_angstrom": [[6.4030, 0.0000, 0.0000], [0.0065, 6.7500, 0.0000], [0.0057, 3.3744, 9.7442]],
  "species": ["S", "Zn", "S", "Zn", "Zn", "Zn", "Zn", "S", "Zn", "S", "S", "Ga", "S", "Ag", "S", "S", "S", "Ga", "S", "Ag"],
  "frac_coords": [[0.1388, 0.2537, 0.8131], [0.9970, 0.1320, 0.4024], [0.6262, 0.1356, 0.3976], [0.4944, 0.8725, 0.5984], [0.5035, 0.0654, 0.2011], [0.0007, 0.9378, 0.7976], [0.9989, 0.3303, 0.0002], [0.6297, 0.3128, 0.9964], [0.5008, 0.4632, 0.4015], [0.0996, 0.6659, 0.0018], [0.1305, 0.8893, 0.5999], [0.4991, 0.2635, 0.7995], [0.6374, 0.7339, 0.2139], [0.4975, 0.6678, 0.9999], [0.6005, 0.5320, 0.6047], [0.1309, 0.4682, 0.3834], [0.6319, 0.9529, 0.7873], [0.9981, 0.7313, 0.1996], [0.1263, 0.0574, 0.2014], [0.9981, 0.5343, 0.6003]]
}



Entry 12:
{
  "formula": "GaAgSe2",
  "functional": "GGA-PBE",
  "state": "optimized geometry",
  "crystal_system": "tetragonal",
  "lattice_angstrom": [[4.0377, 0.0000, 0.0000], [0.0000, 4.0377, 0.0000], [0.0000, 0.0000, 6.3369]],
  "species": ["Se", "Se", "Ag", "Ga"],
  "frac_coords": [[0.5000, 0.0000, 0.7280], [0.0000, 0.5000, 0.2720], [0.0000, 0.0000, 0.0000], [0.5000, 0.5000, 0.5000]]
}



no.,electronic total energy (eV/cell)
1,-41.4
2,-20.7
3,-20.4
4,-69.1
5,-17.0
6,-14.7
7,-30.8
8,-30.1
9,-30.8
10,-31.6
11,-74.2
12,-14.5